Ti4S3N2: optimized geometry, PBE.

Values from the calculation:
- energy relative to the elements (kJ/mol of formula units) = -1413
- calculated volume (Å³ per atom) = 14.99

Unit cell a=11.286 b=3.394 c=8.522 alpha=90.00 beta=124.25 gamma=90.00
Space group C2/m (No. 12)
Unique sites:
Ti1 0.060 0.000 0.354
Ti2 0.208 0.500 0.848
S1 0.000 0.500 0.500
S2 0.190 0.500 0.289
N1 0.125 0.000 0.885

=====

Tl2S7N8: optimized geometry, PBE.

Values from the calculation:
- energy relative to the elements (kJ/mol of formula units) = 493
- calculated volume (Å³ per atom) = 20.28

Unit cell a=11.723 b=9.652 c=12.185 alpha=90.00 beta=90.00 gamma=90.00
Space group Pnma (No. 62)
Unique sites:
Tl1 0.223 0.032 0.067
S1 0.038 0.108 0.767
S2 0.044 0.250 0.569
S3 0.044 0.750 0.723
S4 0.048 0.750 0.960
S5 0.154 0.750 0.302
S6 0.240 0.250 0.338
N1 0.018 0.250 0.158
N2 0.092 0.117 0.645
N3 0.096 0.750 0.426
N4 0.101 0.616 0.232
N5 0.183 0.750 0.726
N6 0.187 0.750 0.953

=====

VS4N3: optimized geometry, PBE.

Values from the calculation:
- energy relative to the elements (kJ/mol of formula units) = 1326
- calculated volume (Å³ per atom) = 32.26

Unit cell a=9.644 b=11.088 c=9.655 alpha=90.00 beta=90.00 gamma=90.00
Space group Pnma (No. 62)
Unique sites:
V1 0.219 0.250 0.017
S1 0.017 0.250 0.934
S2 0.173 0.594 0.453
S3 0.205 0.250 0.238
N1 0.058 0.539 0.800
N2 0.145 0.250 0.585

=====

V2SN2: optimized geometry, PBE.

Values from the calculation:
- energy relative to the elements (kJ/mol of formula units) = -460
- calculated volume (Å³ per atom) = 11.40

Unit cell a=3.3344 b=3.3344 c=5.9178 alpha=90.00 beta=90.00 gamma=120.00
Space group P-3m1 (No. 164)
Unique sites:
V1 0.3333 0.6667 0.3161
S1 0.0000 0.0000 0.0000
N1 0.3333 0.6667 0.6498

=====

Y4S3N2: optimized geometry, PBE.

Values from the calculation:
- energy relative to the elements (kJ/mol of formula units) = -1893
- calculated volume (Å³ per atom) = 21.52
- distance to the lowest polymorph of the same formula (meV per atom) = 0.0

Unit cell a=12.962 b=3.846 c=9.885 alpha=90.00 beta=128.17 gamma=90.00
Space group C2/m (No. 12)
Unique sites:
Y1 0.064 0.000 0.354
Y2 0.239 0.500 0.851
S1 0.000 0.500 0.500
S2 0.174 0.500 0.285
N1 0.143 0.000 0.862

=====

Y4S3N2: optimized geometry, PBE.

Values from the calculation:
- energy relative to the elements (kJ/mol of formula units) = -1824
- calculated volume (Å³ per atom) = 20.99
- distance to the lowest polymorph of the same formula (meV per atom) = 80.2

Unit cell a=6.656 b=11.545 c=9.832 alpha=90.00 beta=90.00 gamma=90.00
Space group Pnma (No. 62)
Unique sites:
Y1 0.120 0.250 0.136
Y2 0.176 0.028 0.884
Y3 0.221 0.250 0.560
S1 0.046 0.592 0.649
S2 0.160 0.750 0.326
N1 0.055 0.623 0.992

=====

Y4S3N2: optimized geometry, PBE.

Values from the calculation:
- energy relative to the elements (kJ/mol of formula units) = -1857
- calculated volume (Å³ per atom) = 20.63
- distance to the lowest polymorph of the same formula (meV per atom) = 41.5

Unit cell a=6.596 b=14.707 c=3.827 alpha=90.00 beta=90.00 gamma=90.00
Space group Pnnm (No. 58)
Unique sites:
Y1 0.213 0.064 0.000
Y2 0.215 0.845 0.500
S1 0.000 0.500 0.000
S2 0.202 0.202 0.500
N1 0.124 0.916 0.000

=====

ZrS2N: optimized geometry, PBE.

Values from the calculation:
- energy relative to the elements (kJ/mol of formula units) = -68
- calculated volume (Å³ per atom) = 24.40

Unit cell a=3.7001 b=3.7001 c=24.6967 alpha=90.00 beta=90.00 gamma=120.00
Space group R3m (No. 160, hexagonal axes)
Unique sites:
Zr1 0.0000 0.0000 0.0000
S1 0.0000 0.0000 0.3922
S2 0.0000 0.0000 0.6076
N1 0.0000 0.0000 0.1727

=====

Zr4S3N2: optimized geometry, PBE.

Values from the calculation:
- energy relative to the elements (kJ/mol of formula units) = -1496
- calculated volume (Å³ per atom) = 17.32

Unit cell a=12.167 b=3.494 c=9.509 alpha=90.00 beta=129.53 gamma=90.00
Space group C2/m (No. 12)
Unique sites:
Zr1 0.105 0.000 0.402
Zr2 0.229 0.500 0.845
S1 0.000 0.500 0.500
S2 0.153 0.500 0.241
N1 0.136 0.000 0.865

=====

SbSeN: optimized geometry, PBE.

Values from the calculation:
- energy relative to the elements (kJ/mol of formula units) = 65
- calculated volume (Å³ per atom) = 22.85

Unit cell a=3.782 b=3.782 c=9.586 alpha=90.00 beta=90.00 gamma=90.00
Space group P4/nmm (No. 129, origin choice 2)
Unique sites:
Sb1 0.250 0.250 0.113
Se1 0.250 0.250 0.536
N1 0.250 0.750 0.000

=====

SrSb2N4: optimized geometry, PBE.

Values from the calculation:
- energy relative to the elements (kJ/mol of formula units) = -42
- calculated volume (Å³ per atom) = 17.97

Unit cell a=19.7873 b=19.7873 c=8.9056 alpha=90.00 beta=90.00 gamma=120.00
Space group P6_3 (No. 173)
Unique sites:
Sr1 0.0000 0.0000 0.0000
Sr2 0.0069 0.4757 0.4934
Sr3 0.1297 0.3297 0.4807
Sr4 0.1533 0.8241 0.9832
Sr5 0.3333 0.6667 0.4922
Sr6 0.3333 0.6667 0.9987
Sb1 0.0009 0.3386 0.1956
Sb2 0.0021 0.3254 0.7910
Sb3 0.0145 0.8389 0.6719
Sb4 0.0137 0.8484 0.2756
Sb5 0.1601 0.5169 0.2124
Sb6 0.1614 0.5046 0.8160
Sb7 0.1770 0.6905 0.3184
Sb8 0.1781 0.6772 0.7096
N1 0.0372 0.7658 0.7959
N2 0.0459 0.3407 0.9969
N3 0.0491 0.2635 0.7114
N4 0.0489 0.9429 0.7697
N5 0.0622 0.6099 0.7450
N6 0.0662 0.4304 0.6940
N7 0.0691 0.8669 0.4727
N8 0.0991 0.2038 0.1354
N9 0.0987 0.4112 0.3071
N10 0.1099 0.7287 0.2187
N11 0.1229 0.5752 0.3407
N12 0.1340 0.5400 0.0078
N13 0.1954 0.7393 0.5224
N14 0.2241 0.6066 0.7059
N15 0.2309 0.7620 0.8651
N16 0.2763 0.5594 0.2309